1.
Computed, not measured: Ho2InNi2 after structural relaxation at the PBE level of DFT.

Cell: 3.6100 3.9373 7.3628 Å, 74.49 90.00 90.00°
Atoms (fractional coordinates):
Ho 0.5000 0.3608 0.2784
Ho 0.5000 0.6392 0.7216
In 0.0000 0.0000 0.0000
Ni 0.0000 0.1990 0.6019
Ni 0.0000 0.8010 0.3981

Calculated values
- V (Å³/cell) = 100.84
- DFT total energy (eV/atom) = -5.232

=====

2.
Computed, not measured: Ho10In20Ni9 after structural relaxation at the PBE level of DFT.

Cell: 13.3846 13.3846 9.1785 Å, 90.00 90.00 90.00°
Atoms (fractional coordinates):
Ho 0.0000 0.5000 0.3633
Ho 0.5000 0.0000 0.6367
Ho 0.0000 0.5000 0.8352
Ho 0.5000 0.0000 0.1648
Ho 0.2767 0.5000 0.7681
Ho 0.0000 0.2233 0.7681
Ho 0.0000 0.7767 0.7681
Ho 0.7233 0.5000 0.7681
Ho 0.2233 0.0000 0.2319
Ho 0.7767 0.0000 0.2319
Ho 0.5000 0.2767 0.2319
Ho 0.5000 0.7233 0.2319
Ho 0.2034 0.7034 0.2684
Ho 0.2034 0.2966 0.2684
Ho 0.7966 0.7034 0.2684
Ho 0.7966 0.2966 0.2684
Ho 0.2966 0.2034 0.7316
Ho 0.7034 0.7966 0.7316
Ho 0.7034 0.2034 0.7316
Ho 0.2966 0.7966 0.7316
In 0.8449 0.8449 0.0000
In 0.3449 0.6551 0.0000
In 0.6551 0.3449 0.0000
In 0.1551 0.1551 0.0000
In 0.6551 0.6551 0.0000
In 0.1551 0.8449 0.0000
In 0.8449 0.1551 0.0000
In 0.3449 0.3449 0.0000
In 0.3698 0.3698 0.5000
In 0.8698 0.1302 0.5000
In 0.1302 0.8698 0.5000
In 0.6302 0.6302 0.5000
In 0.1302 0.1302 0.5000
In 0.6302 0.3698 0.5000
In 0.3698 0.6302 0.5000
In 0.8698 0.8698 0.5000
In 0.8334 0.5000 0.0930
In 0.0000 0.6666 0.0930
In 0.0000 0.3334 0.0930
In 0.1666 0.5000 0.0930
In 0.6666 0.0000 0.9070
In 0.3334 0.0000 0.9070
In 0.5000 0.8334 0.9070
In 0.5000 0.1666 0.9070
In 0.6160 0.5000 0.2346
In 0.0000 0.8840 0.2346
In 0.0000 0.1160 0.2346
In 0.3840 0.5000 0.2346
In 0.8840 0.0000 0.7654
In 0.1160 0.0000 0.7654
In 0.5000 0.6160 0.7654
In 0.5000 0.3840 0.7654
In 0.1319 0.6319 0.5902
In 0.1319 0.3681 0.5902
In 0.8681 0.6319 0.5902
In 0.8681 0.3681 0.5902
In 0.3681 0.1319 0.4098
In 0.6319 0.8681 0.4098
In 0.6319 0.1319 0.4098
In 0.3681 0.8681 0.4098
Ni 0.5000 0.5000 0.0000
Ni 0.0000 0.0000 0.0000
Ni 0.7773 0.5000 0.4088
Ni 0.0000 0.7227 0.4088
Ni 0.0000 0.2773 0.4088
Ni 0.2227 0.5000 0.4088
Ni 0.7227 0.0000 0.5912
Ni 0.2773 0.0000 0.5912
Ni 0.5000 0.7773 0.5912
Ni 0.5000 0.2227 0.5912
Ni 0.3448 0.8448 0.1045
Ni 0.3448 0.1552 0.1045
Ni 0.6552 0.8448 0.1045
Ni 0.6552 0.1552 0.1045
Ni 0.1552 0.3448 0.8955
Ni 0.8448 0.6552 0.8955
Ni 0.8448 0.3448 0.8955
Ni 0.1552 0.6552 0.8955

Calculated values
- V (Å³/cell) = 1644.31
- DFT total energy (eV/atom) = -4.345

=====

3.
Computed, not measured: Ho2InNi2 after structural relaxation at the PBE level of DFT.

Cell: 7.4103 7.4103 3.6304 Å, 90.00 90.00 90.00°
Atoms (fractional coordinates):
Ho 0.6731 0.1731 0.5000
Ho 0.3269 0.8269 0.5000
Ho 0.1731 0.3269 0.5000
Ho 0.8269 0.6731 0.5000
In 0.5000 0.5000 0.0000
In 0.0000 0.0000 0.0000
Ni 0.1193 0.6193 0.0000
Ni 0.8807 0.3807 0.0000
Ni 0.6193 0.8807 0.0000
Ni 0.3807 0.1193 0.0000

Calculated values
- V (Å³/cell) = 199.35
- DFT total energy (eV/atom) = -5.215